1.
DFT (PBE with a Hubbard U) results for an optimized crystal structure of Sr2MnReO6.

Calculated values
The calculation puts the total energy at -75.20 eV for the cell shown. The calculation puts the formation energy at -2631.6 meV/atom.

abc: 5.7382 5.7382 5.7382
angles: 60.00 60.00 60.00
Atoms (fractional coordinates):
O (0.7621, 0.2379, 0.2379)
Mn (0.5000, 0.5000, 0.5000)
O (0.2379, 0.7621, 0.2379)
Sr (0.2500, 0.2500, 0.2500)
O (0.2379, 0.7621, 0.7621)
O (0.2379, 0.2379, 0.7621)
Sr (0.7500, 0.7500, 0.7500)
Re (0.0000, 0.0000, 0.0000)
O (0.7621, 0.2379, 0.7621)
O (0.7621, 0.7621, 0.2379)

=====

2.
DFT (PBE with a Hubbard U) results for an optimized crystal structure of MnRh2O4.

Calculated values
The calculation puts the total energy at -97.81 eV for the cell shown. The calculation puts the formation energy at -1377.2 meV/atom.

abc: 6.1966 6.1966 6.1966
angles: 120.00 90.00 60.00
Atoms (fractional coordinates):
Mn (0.1250, 0.2500, 0.1250)
Rh (0.5000, 0.0000, 0.5000)
Rh (0.5000, 0.5000, 0.5000)
O (0.2632, 0.9737, 0.7105)
Rh (0.5000, 0.5000, 0.0000)
O (0.2632, 0.5263, 0.2632)
Rh (0.0000, 0.0000, 0.5000)
O (0.7368, 0.0263, 0.7368)
O (0.7105, 0.5263, 0.2632)
O (0.2632, 0.9737, 0.2632)
O (0.7368, 0.0263, 0.2895)
O (0.2895, 0.4737, 0.7368)
Mn (0.8750, 0.7500, 0.8750)
O (0.7368, 0.4737, 0.7368)

=====

3.
DFT (PBE with a Hubbard U) results for an optimized crystal structure of Sm2MnRhO6.

Calculated values
The calculation puts the total energy at -154.57 eV for the cell shown. The calculation puts the formation energy at -2742.5 meV/atom.

abc: 5.8610 5.4820 9.2353
angles: 55.27 90.00 90.00
Atoms (fractional coordinates):
O (0.3040, 0.7558, 0.5554)
O (0.8050, 0.6348, 0.5526)
O (0.0381, 0.1319, 0.2559)
O (0.4619, 0.1319, 0.7559)
Mn (0.5000, 0.0000, 0.0000)
Sm (0.0742, 0.2733, 0.7490)
O (0.3050, 0.3652, 0.9474)
Mn (0.0000, 0.0000, 0.5000)
O (0.6960, 0.2442, 0.4446)
Sm (0.5742, 0.7267, 0.7510)
O (0.9619, 0.8681, 0.7441)
Rh (0.0000, 0.5000, 0.0000)
O (0.5381, 0.8681, 0.2441)
Sm (0.4258, 0.2733, 0.2490)
Rh (0.5000, 0.5000, 0.5000)
O (0.6950, 0.6348, 0.0526)
O (0.1960, 0.7558, 0.0554)
O (0.8040, 0.2442, 0.9446)
O (0.1950, 0.3652, 0.4474)
Sm (0.9258, 0.7267, 0.2510)

=====

4.
DFT (PBE with a Hubbard U) results for an optimized crystal structure of MnSO3.

Calculated values
The calculation puts the total energy at -270.20 eV for the cell shown. The calculation puts the formation energy at -1872.4 meV/atom.

abc: 12.4411 5.4963 8.4264
angles: 79.68 90.00 90.00
Atoms (fractional coordinates):
S (0.8242, 0.5210, 0.0093)
S (0.9814, 0.9135, 0.2454)
O (0.7597, 0.2814, 0.0762)
O (0.4212, 0.9047, 0.1627)
O (0.2403, 0.7186, 0.9238)
O (0.2597, 0.7186, 0.4238)
S (0.3242, 0.4790, 0.4907)
O (0.2608, 0.2663, 0.0040)
O (0.3404, 0.5260, 0.6660)
O (0.7608, 0.7337, 0.4960)
O (0.8404, 0.4740, 0.8340)
O (0.5154, 0.6705, 0.8716)
O (0.1596, 0.5260, 0.1660)
O (0.2392, 0.2663, 0.5040)
S (0.5186, 0.9135, 0.7454)
S (0.1758, 0.4790, 0.9907)
O (0.0788, 0.9047, 0.6627)
O (0.4846, 0.3295, 0.1284)
O (0.7403, 0.2814, 0.5762)
Mn (0.4204, 0.3327, 0.8833)
O (0.9036, 0.9742, 0.7561)
Mn (0.0796, 0.3327, 0.3833)
Mn (0.2460, 0.8843, 0.1582)
Mn (0.9204, 0.6673, 0.6167)
O (0.7392, 0.7337, 0.9960)
S (0.6758, 0.5210, 0.5093)
S (0.0186, 0.0865, 0.7546)
O (0.5788, 0.0953, 0.8373)
O (0.5964, 0.9742, 0.2561)
O (0.4036, 0.0258, 0.7439)
O (0.0964, 0.0258, 0.2439)
Mn (0.7540, 0.1157, 0.8418)
O (0.9212, 0.0953, 0.3373)
S (0.4814, 0.0865, 0.2546)
Mn (0.7460, 0.1157, 0.3418)
O (0.6596, 0.4740, 0.3340)
O (0.0154, 0.3295, 0.6284)
O (0.9846, 0.6705, 0.3716)
Mn (0.5796, 0.6673, 0.1167)
Mn (0.2540, 0.8843, 0.6582)

=====

5.
DFT (PBE with a Hubbard U) results for an optimized crystal structure of MnSO6.

Calculated values
The calculation puts the relative energy among the computed polymorphs at 4.7 meV/atom. The calculation puts the total energy at -183.23 eV for the cell shown. The calculation puts the formation energy at -1076.3 meV/atom.

abc: 8.9107 7.4785 10.8526
angles: 56.30 90.00 90.00
Atoms (fractional coordinates):
O (0.3322, 0.0123, 0.8381)
O (0.4595, 0.6979, 0.7471)
O (0.4271, 0.7951, 0.4038)
O (0.8269, 0.5103, 0.4184)
Mn (0.2205, 0.8777, 0.8023)
O (0.1731, 0.4897, 0.5816)
S (0.4031, 0.4220, 0.2173)
O (0.8135, 0.0101, 0.3708)
O (0.3455, 0.4713, 0.3183)
O (0.1545, 0.4713, 0.8183)
Mn (0.2795, 0.8777, 0.3023)
O (0.0405, 0.6979, 0.2471)
O (0.9595, 0.3021, 0.7529)
S (0.5969, 0.5780, 0.7827)
O (0.1678, 0.0123, 0.3381)
O (0.5405, 0.3021, 0.2529)
O (0.6731, 0.5103, 0.9184)
Mn (0.7205, 0.1223, 0.6977)
O (0.3135, 0.9899, 0.1292)
O (0.8322, 0.9877, 0.6619)
O (0.3269, 0.4897, 0.0816)
Mn (0.7795, 0.1223, 0.1977)
O (0.1865, 0.9899, 0.6292)
O (0.6545, 0.5287, 0.6817)
S (0.9031, 0.5780, 0.2827)
O (0.6678, 0.9877, 0.1619)
O (0.5729, 0.2049, 0.5962)
O (0.0729, 0.7951, 0.9038)
O (0.9271, 0.2049, 0.0962)
O (0.8455, 0.5287, 0.1817)
O (0.6865, 0.0101, 0.8708)
S (0.0969, 0.4220, 0.7173)

=====

6.
DFT (PBE with a Hubbard U) results for an optimized crystal structure of Mn2S3O12.

Calculated values
The calculation puts the relative energy among the computed polymorphs at 35.5 meV/atom. The calculation puts the total energy at -219.81 eV for the cell shown. The calculation puts the formation energy at -1845.5 meV/atom.

abc: 7.7780 7.7780 9.1945
angles: 65.41 65.41 64.64
Atoms (fractional coordinates):
Mn (0.8699, 0.3680, 0.9688)
O (0.4532, 0.1183, 0.3494)
S (0.9620, 0.0380, 0.7500)
O (0.6078, 0.3517, 0.1227)
O (0.0766, 0.8073, 0.1800)
O (0.1328, 0.5130, 0.5584)
S (0.7558, 0.5375, 0.3317)
S (0.4625, 0.2442, 0.1683)
O (0.5130, 0.1328, 0.0584)
S (0.5375, 0.7558, 0.8317)
O (0.3922, 0.6483, 0.8773)
O (0.1183, 0.4532, 0.8494)
O (0.8672, 0.4870, 0.4416)
O (0.6483, 0.3922, 0.3773)
O (0.3969, 0.2592, 0.6867)
O (0.1927, 0.9234, 0.3200)
S (0.0380, 0.9620, 0.2500)
O (0.2592, 0.3969, 0.1867)
O (0.8416, 0.9730, 0.3829)
Mn (0.6320, 0.1301, 0.5312)
O (0.1584, 0.0270, 0.6171)
O (0.4870, 0.8672, 0.9416)
Mn (0.1301, 0.6320, 0.0312)
O (0.9730, 0.8416, 0.8829)
O (0.0270, 0.1584, 0.1171)
O (0.3517, 0.6078, 0.6227)
O (0.7408, 0.6031, 0.8133)
Mn (0.3680, 0.8699, 0.4688)
S (0.2442, 0.4625, 0.6683)
O (0.6031, 0.7408, 0.3133)
O (0.8073, 0.0766, 0.6800)
O (0.8817, 0.5468, 0.1506)
O (0.9234, 0.1927, 0.8200)
O (0.5468, 0.8817, 0.6506)

=====

7.
DFT (PBE with a Hubbard U) results for an optimized crystal structure of MnS2O8.

Calculated values
The calculation puts the relative energy among the computed polymorphs at 0.0 meV/atom. The calculation puts the total energy at -205.87 eV for the cell shown. The calculation puts the formation energy at -1706.4 meV/atom.

abc: 8.8209 8.8209 8.8209
angles: 55.47 55.47 55.47
Atoms (fractional coordinates):
O (0.1055, 0.2958, 0.5201)
O (0.3670, 0.6312, 0.7561)
O (0.9582, 0.3221, 0.0197)
S (0.2461, 0.5461, 0.9527)
O (0.3221, 0.0197, 0.9582)
O (0.7081, 0.4862, 0.8888)
O (0.3447, 0.9759, 0.2835)
S (0.9527, 0.2461, 0.5461)
O (0.7561, 0.3670, 0.6312)
Mn (0.1534, 0.1534, 0.1534)
O (0.0197, 0.9582, 0.3221)
O (0.6312, 0.7561, 0.3670)
Mn (0.3537, 0.3537, 0.3537)
O (0.6699, 0.0029, 0.0291)
O (0.0322, 0.7156, 0.6538)
O (0.6176, 0.3775, 0.2455)
O (0.3775, 0.2455, 0.6176)
S (0.4605, 0.0387, 0.7490)
O (0.2958, 0.5201, 0.1055)
O (0.6538, 0.0322, 0.7156)
O (0.0029, 0.0291, 0.6699)
Mn (0.8478, 0.8478, 0.8478)
O (0.5201, 0.1055, 0.2958)
S (0.5461, 0.9527, 0.2461)
S (0.7490, 0.4605, 0.0387)
O (0.7156, 0.6538, 0.0322)
O (0.9759, 0.2835, 0.3447)
O (0.8888, 0.7081, 0.4862)
S (0.0387, 0.7490, 0.4605)
O (0.2835, 0.3447, 0.9759)
O (0.4862, 0.8888, 0.7081)
O (0.2455, 0.6176, 0.3775)
O (0.0291, 0.6699, 0.0029)